Record 1
The following is a GGA-PBE calculation of a relaxed structure of Ca2SiS4, from the Materials Project database.

Unit cell a=13.7875 b=8.1806 c=6.2470 alpha=90.00 beta=90.00 gamma=90.00
Space group Pnma (No. 62)
Symmetry-distinct sites (fractional):
Ca  0.0000  0.0000  0.0000 (multiplicity 4)
Ca  0.2274  0.2500  0.4939 (multiplicity 4)
Si  0.0937  0.7500  0.4090 (multiplicity 4)
S  0.0514  0.2500  0.7197 (multiplicity 4)
S  0.0953  0.7500  0.7483 (multiplicity 4)
S  0.1654  0.5416  0.2704 (multiplicity 8)

Results
The volume comes out at 704.6 Å³ per cell. As for the formation energy: -1.83 eV per atom.

Record 2
The following is a GGA-PBE calculation of a relaxed structure of CaSm2S3, from the Materials Project database.

Unit cell a=4.0245 b=4.0245 c=9.8533 alpha=90.00 beta=90.00 gamma=120.00
Space group P-3m1 (No. 164)
Symmetry-distinct sites (fractional):
Ca  0.0000  0.0000  0.0000 (multiplicity 1)
Sm  0.3333  0.6667  0.6560 (multiplicity 2)
S  0.0000  0.0000  0.5000 (multiplicity 1)
S  0.3333  0.6667  0.1651 (multiplicity 2)

Results
The volume comes out at 138.2 Å³ per cell. As for the formation energy: -2.31 eV per atom.

Record 3
The following is a GGA-PBE calculation of a relaxed structure of CaSm2S4, from the Materials Project database.

Unit cell a=8.4892 b=8.4892 c=8.5271 alpha=90.00 beta=90.00 gamma=90.00
Space group I-42d (No. 122)
Symmetry-distinct sites (fractional):
Ca  0.0000  0.0000  0.0000 (multiplicity 4)
Sm  0.1284  0.2500  0.6250 (multiplicity 8)
S  0.0737  0.1777  0.3058 (multiplicity 16)

Results
The volume comes out at 614.5 Å³ per cell. As for the formation energy: -2.36 eV per atom. The value obtained for the maximum piezoelectric response is 0.4 C/m².

Record 4
The following is a GGA-PBE calculation of a relaxed structure of CaSnS3, from the Materials Project database.

Unit cell a=7.0789 b=7.0789 c=16.2846 alpha=90.00 beta=90.00 gamma=120.00
Space group R-3c (No. 167, hexagonal axes)
Symmetry-distinct sites (fractional):
Ca  0.0000  0.0000  0.2500 (multiplicity 6)
Sn  0.0000  0.0000  0.0000 (multiplicity 6)
S  0.0000  0.3902  0.2500 (multiplicity 18)

Results
The volume comes out at 706.7 Å³ per cell. The offset from the most stable computed form comes out at 129 meV per atom. As for the formation energy: -1.19 eV per atom.

Record 5
The following is a GGA-PBE calculation of a relaxed structure of CaSn2S5, from the Materials Project database.

Unit cell a=22.8916 b=5.1805 c=10.2278 alpha=90.00 beta=93.00 gamma=90.00
Space group C2/m (No. 12)
Symmetry-distinct sites (fractional):
Ca  0.0000  0.0000  0.0000 (multiplicity 2)
Ca  0.1427  0.0000  0.5015 (multiplicity 4)
Sn  0.0466  0.5000  0.7275 (multiplicity 4)
Sn  0.1517  0.5000  0.1858 (multiplicity 4)
Sn  0.2301  0.5000  0.8453 (multiplicity 4)
S  0.0000  0.5000  0.5000 (multiplicity 2)
S  0.0372  0.5000  0.1244 (multiplicity 4)
S  0.0492  0.0000  0.6784 (multiplicity 4)
S  0.1243  0.5000  0.9199 (multiplicity 4)
S  0.1449  0.0000  0.2192 (multiplicity 4)
S  0.1671  0.5000  0.6059 (multiplicity 4)
S  0.2116  0.5000  0.4336 (multiplicity 4)
S  0.2353  0.0000  0.8657 (multiplicity 4)

Results
The volume comes out at 1211.3 Å³ per cell. The offset from the most stable computed form comes out at 196 meV per atom. As for the formation energy: -0.85 eV per atom.

Record 6
The following is a GGA-PBE calculation of a relaxed structure of CaSnS3, from the Materials Project database.

Unit cell a=9.3134 b=9.6051 c=10.3417 alpha=103.56 beta=96.07 gamma=90.12
Space group P-1 (No. 2)
Symmetry-distinct sites (fractional):
Ca  0.0296  0.2587  0.0304 (multiplicity 2)
Ca  0.2574  0.9338  0.7186 (multiplicity 2)
Ca  0.2590  0.4221  0.7142 (multiplicity 2)
Sn  0.2113  0.5588  0.3316 (multiplicity 2)
Sn  0.2146  0.1057  0.3247 (multiplicity 2)
Sn  0.4463  0.7724  0.0909 (multiplicity 2)
S  0.0070  0.0175  0.1707 (multiplicity 2)
S  0.0066  0.5714  0.1761 (multiplicity 2)
S  0.2193  0.6409  0.5669 (multiplicity 2)
S  0.2213  0.1356  0.5568 (multiplicity 2)
S  0.2705  0.7205  0.8997 (multiplicity 2)
S  0.2806  0.3138  0.2443 (multiplicity 2)
S  0.2941  0.2267  0.8921 (multiplicity 2)
S  0.4372  0.0162  0.2236 (multiplicity 2)
S  0.4366  0.6180  0.2461 (multiplicity 2)

Results
The volume comes out at 894.0 Å³ per cell. The offset from the most stable computed form comes out at 42 meV per atom. As for the formation energy: -1.28 eV per atom.

What did the fifth record say?
The following is a GGA-PBE calculation of a relaxed structure of CaSn2S5, from the Materials Project database.

Unit cell a=22.8916 b=5.1805 c=10.2278 alpha=90.00 beta=93.00 gamma=90.00
Space group C2/m (No. 12)
Symmetry-distinct sites (fractional):
Ca  0.0000  0.0000  0.0000 (multiplicity 2)
Ca  0.1427  0.0000  0.5015 (multiplicity 4)
Sn  0.0466  0.5000  0.7275 (multiplicity 4)
Sn  0.1517  0.5000  0.1858 (multiplicity 4)
Sn  0.2301  0.5000  0.8453 (multiplicity 4)
S  0.0000  0.5000  0.5000 (multiplicity 2)
S  0.0372  0.5000  0.1244 (multiplicity 4)
S  0.0492  0.0000  0.6784 (multiplicity 4)
S  0.1243  0.5000  0.9199 (multiplicity 4)
S  0.1449  0.0000  0.2192 (multiplicity 4)
S  0.1671  0.5000  0.6059 (multiplicity 4)
S  0.2116  0.5000  0.4336 (multiplicity 4)
S  0.2353  0.0000  0.8657 (multiplicity 4)

Results
The volume comes out at 1211.3 Å³ per cell. The offset from the most stable computed form comes out at 196 meV per atom. As for the formation energy: -0.85 eV per atom.